A plane-wave DFT calculation with GGA-PBE was carried out for RbErS2 after structural relaxation.

Results
Space-group type: R-3m

Geometry as POSCAR:
```
RbErS2
1.0
2.0231 1.1681 7.6760
-2.0231 1.1681 7.6760
0.0000 -2.3361 7.6760
Rb Er S
1 1 2
Direct
0.0000 0.0000 0.0000
0.5000 0.5000 0.5000
0.2301 0.2301 0.2301
0.7699 0.7699 0.7699
```



A plane-wave DFT calculation with GGA-PBE was carried out for SrSiO3 after structural relaxation.

Results
Space-group type: P-1

Geometry as POSCAR:
```
SrSiO3
1.0
7.0303 0.0000 0.0000
1.7817 6.8122 0.0000
1.1127 3.3423 9.1932
Sr Si O
6 6 18
Direct
0.0831 0.4056 0.3399
0.2383 0.2524 0.9966
0.4148 0.7643 0.3455
0.5852 0.2357 0.6545
0.7617 0.7476 0.0034
0.9169 0.5944 0.6601
0.0398 0.0209 0.7059
0.2690 0.7689 0.9782
0.3792 0.6687 0.7061
0.6208 0.3313 0.2939
0.7310 0.2311 0.0218
0.9602 0.9791 0.2941
0.0369 0.7366 0.3926
0.1351 0.6017 0.0565
0.1345 0.9945 0.8628
0.1406 0.0976 0.2601
0.2273 0.8997 0.6222
0.2688 0.4798 0.7369
0.3845 0.8360 0.0800
0.4318 0.3657 0.4010
0.4371 0.6879 0.8601
0.5629 0.3121 0.1399
0.5682 0.6343 0.5990
0.6155 0.1640 0.9200
0.7312 0.5202 0.2631
0.7727 0.1003 0.3778
0.8594 0.9024 0.7399
0.8655 0.0055 0.1372
0.8649 0.3983 0.9435
0.9631 0.2634 0.6074
```



A plane-wave DFT calculation with GGA-PBE was carried out for Sr10TiRu4O20 after structural relaxation.

Results
Space-group type: I4/mmm

Geometry as POSCAR:
```
Sr10TiRu4O20
1.0
-1.9578 1.9578 32.1312
1.9578 -1.9578 32.1312
1.9578 1.9578 -32.1312
Sr Ti Ru O
10 1 4 20
Direct
0.0290 0.0290 0.0000
0.1705 0.1705 0.0000
0.2295 0.2295 0.0000
0.3706 0.3706 0.0000
0.4296 0.4296 0.0000
0.5704 0.5704 0.0000
0.6294 0.6294 0.0000
0.7705 0.7705 0.0000
0.8295 0.8295 0.0000
0.9710 0.9710 0.0000
0.5000 0.5000 0.0000
0.1000 0.1000 0.0000
0.3000 0.3000 0.0000
0.7000 0.7000 0.0000
0.9000 0.9000 0.0000
0.0000 0.5000 0.5000
0.0673 0.0673 0.0000
0.1000 0.6000 0.5000
0.1326 0.1326 0.0000
0.2000 0.7000 0.5000
0.2674 0.2674 0.0000
0.3000 0.8000 0.5000
0.3326 0.3326 0.0000
0.4000 0.9000 0.5000
0.4685 0.4685 0.0000
0.5000 0.0000 0.5000
0.5315 0.5315 0.0000
0.6000 0.1000 0.5000
0.6674 0.6674 0.0000
0.7000 0.2000 0.5000
0.7326 0.7326 0.0000
0.8000 0.3000 0.5000
0.8674 0.8674 0.0000
0.9000 0.4000 0.5000
0.9327 0.9327 0.0000
```



| no. | total energy after the MP2020 corrections (eV/atom) | DFT total energy (eV per cell) | energy relative to the elements (eV per atom) |
| --- | --- | --- | --- |
| 1 | -5.55 | -21.20 | -2.097 |
| 2 | -7.81 | -222.04 | -3.422 |
| 3 | -7.26 | -240.39 | -2.665 |